# Cr2NiO4

Cr2NiO4 after structural relaxation (PBE with a Hubbard U, the Materials Project).

Properties
As for the offset from the most stable computed form: 0.000 eV/f.u. The formation energy comes out at -2.041 eV/atom. The density is 4.98 g cm⁻³. As for the space-group type: P1, No. 1.

Cell lengths 5.8951, 5.9573, 5.9769 Å; angles 119.48, 118.95, 90.46 degrees
Closest atoms and distances in Å follow each position.
Fractional positions:
Cr  0.0000  0.0000  0.0000  6 O 2.01-2.03
Cr  0.9998  0.4979  0.4981  6 O 2.01-2.04
Cr  0.0007  0.9993  0.5010  6 O 2.01-2.03
Cr  0.4991  0.9996  0.9990  6 O 2.02-2.04
Ni  0.3793  0.6276  0.2481  4 O 1.99-2.01
Ni  0.6237  0.3792  0.7491  4 O 1.99-2.01
O  0.2164  0.2319  0.4689  1 Ni 1.99, 3 Cr 2.01-2.04
O  0.2285  0.7496  0.9644  1 Ni 1.99, 3 Cr 2.01-2.04
O  0.2369  0.2179  0.9719  1 Ni 2.01, 3 Cr 2.02-2.03
O  0.2458  0.7623  0.5268  1 Ni 2.00, 3 Cr 2.02-2.04
O  0.7505  0.2288  0.4667  1 Ni 1.99, 3 Cr 2.02-2.04
O  0.7622  0.2449  0.0250  1 Ni 2.01, 3 Cr 2.02-2.04
O  0.7638  0.7861  0.0347  1 Ni 2.00, 3 Cr 2.01-2.03
O  0.7862  0.7607  0.5334  1 Ni 1.99, 3 Cr 2.01-2.03